Density functional theory data (GGA+U) for a relaxed Li3MnCo2O6 crystal.

Output
excess energy over the best structure of this formula in the dataset: 0.028 eV per atom
ΔE_f: -1806.3 meV per atom

Unit cell a=2.942 b=5.086 c=7.821 alpha=79.09 beta=81.86 gamma=76.15
Element x y z (fractional)
Li (0.000, 0.000, 0.000)
Li (0.328, 0.004, 0.335)
Li (0.672, 0.996, 0.665)
Mn (0.000, 0.500, 0.500)
Co (0.331, 0.504, 0.833)
Co (0.669, 0.496, 0.167)
O (0.003, 0.726, 0.250)
O (0.309, 0.737, 0.585)
O (0.331, 0.271, 0.083)
O (0.669, 0.729, 0.917)
O (0.691, 0.263, 0.415)
O (0.997, 0.274, 0.750)



Density functional theory data (GGA+U) for a relaxed ZnFeO2F5 crystal.

Output
ΔE_f: -1973.0 meV per atom

Unit cell a=7.368 b=7.368 c=7.368 alpha=117.84 beta=80.71 gamma=133.98
Element x y z (fractional)
Zn (0.000, 0.000, 0.000)
Zn (0.500, 0.000, 0.500)
Fe (0.500, 0.000, 0.000)
Fe (0.500, 0.500, 0.500)
O (0.048, 0.583, 0.465)
O (0.383, 0.417, 0.965)
O (0.617, 0.583, 0.035)
O (0.952, 0.417, 0.535)
F (0.156, 0.212, 0.307)
F (0.156, 0.848, 0.944)
F (0.383, 0.633, 0.750)
F (0.404, 0.212, 0.556)
F (0.404, 0.848, 0.193)
F (0.596, 0.152, 0.807)
F (0.596, 0.788, 0.444)
F (0.617, 0.367, 0.250)
F (0.844, 0.152, 0.056)
F (0.844, 0.788, 0.693)



Density functional theory data (GGA+U) for a relaxed FeBi25O40 crystal.

Output
excess energy over the best structure of this formula in the dataset: 0.000 eV per atom
ΔE_f: -1603.4 meV per atom

Unit cell a=10.362 b=10.362 c=10.362 alpha=90.00 beta=90.00 gamma=90.00
Element x y z (fractional)
Fe (0.000, 0.000, 0.000)
Bi (0.013, 0.315, 0.825)
Bi (0.013, 0.685, 0.175)
Bi (0.175, 0.013, 0.685)
Bi (0.175, 0.987, 0.315)
Bi (0.176, 0.319, 0.485)
Bi (0.176, 0.681, 0.515)
Bi (0.315, 0.175, 0.987)
Bi (0.315, 0.825, 0.013)
Bi (0.319, 0.485, 0.176)
Bi (0.319, 0.515, 0.824)
Bi (0.485, 0.176, 0.319)
Bi (0.485, 0.824, 0.681)
Bi (0.500, 0.500, 0.500)
Bi (0.515, 0.176, 0.681)
Bi (0.515, 0.824, 0.319)
Bi (0.681, 0.485, 0.824)
Bi (0.681, 0.515, 0.176)
Bi (0.685, 0.175, 0.013)
Bi (0.685, 0.825, 0.987)
Bi (0.824, 0.319, 0.515)
Bi (0.824, 0.681, 0.485)
Bi (0.825, 0.013, 0.315)
Bi (0.825, 0.987, 0.685)
Bi (0.987, 0.315, 0.175)
Bi (0.987, 0.685, 0.825)
O (0.011, 0.248, 0.367)
O (0.011, 0.752, 0.633)
O (0.108, 0.108, 0.108)
O (0.108, 0.892, 0.892)
O (0.131, 0.488, 0.753)
O (0.131, 0.512, 0.247)
O (0.191, 0.191, 0.809)
O (0.191, 0.809, 0.191)
O (0.247, 0.131, 0.512)
O (0.247, 0.869, 0.488)
O (0.248, 0.367, 0.011)
O (0.248, 0.633, 0.989)
O (0.314, 0.314, 0.314)
O (0.314, 0.686, 0.686)
O (0.367, 0.011, 0.248)
O (0.367, 0.989, 0.752)
O (0.386, 0.386, 0.614)
O (0.386, 0.614, 0.386)
O (0.488, 0.247, 0.869)
O (0.488, 0.753, 0.131)
O (0.512, 0.247, 0.131)
O (0.512, 0.753, 0.869)
O (0.614, 0.386, 0.386)
O (0.614, 0.614, 0.614)
O (0.633, 0.011, 0.752)
O (0.633, 0.989, 0.248)
O (0.686, 0.314, 0.686)
O (0.686, 0.686, 0.314)
O (0.752, 0.367, 0.989)
O (0.752, 0.633, 0.011)
O (0.753, 0.131, 0.488)
O (0.753, 0.869, 0.512)
O (0.809, 0.191, 0.191)
O (0.809, 0.809, 0.809)
O (0.869, 0.488, 0.247)
O (0.869, 0.512, 0.753)
O (0.892, 0.108, 0.892)
O (0.892, 0.892, 0.108)
O (0.989, 0.248, 0.633)
O (0.989, 0.752, 0.367)



Density functional theory data (GGA+U) for a relaxed DyMgCuW2O8 crystal.

Output
excess energy over the best structure of this formula in the dataset: 0.036 eV per atom
ΔE_f: -2406.5 meV per atom

Unit cell a=5.364 b=6.101 c=6.181 alpha=106.84 beta=91.96 gamma=115.55
Element x y z (fractional)
Dy (0.000, 0.000, 0.000)
Mg (0.293, 0.607, 0.148)
Cu (0.572, 0.081, 0.563)
W (0.274, 0.532, 0.656)
W (0.767, 0.539, 0.360)
O (0.018, 0.354, 0.316)
O (0.029, 0.767, 0.210)
O (0.058, 0.736, 0.672)
O (0.069, 0.311, 0.824)
O (0.473, 0.317, 0.117)
O (0.508, 0.357, 0.571)
O (0.530, 0.789, 0.947)
O (0.559, 0.756, 0.470)



Density functional theory data (GGA+U) for a relaxed Mn7GeO12 crystal.

Output
ΔE_f: -2052.2 meV per atom

Unit cell a=11.793 b=11.793 c=11.793 alpha=131.47 beta=131.47 gamma=71.06
Element x y z (fractional)
Mn (0.000, 0.000, 0.000)
Mn (0.000, 0.000, 0.500)
Mn (0.000, 0.500, 0.000)
Mn (0.000, 0.500, 0.500)
Mn (0.106, 0.394, 0.250)
Mn (0.125, 0.375, 0.750)
Mn (0.144, 0.894, 0.788)
Mn (0.212, 0.250, 0.462)
Mn (0.250, 0.288, 0.038)
Mn (0.250, 0.788, 0.538)
Mn (0.288, 0.750, 0.038)
Mn (0.356, 0.144, 0.750)
Mn (0.375, 0.125, 0.250)
Mn (0.394, 0.644, 0.288)
Mn (0.500, 0.000, 0.000)
Mn (0.500, 0.000, 0.500)
Mn (0.500, 0.500, 0.000)
Mn (0.500, 0.500, 0.500)
Mn (0.606, 0.356, 0.712)
Mn (0.625, 0.875, 0.750)
Mn (0.644, 0.856, 0.250)
Mn (0.712, 0.250, 0.962)
Mn (0.750, 0.212, 0.462)
Mn (0.750, 0.712, 0.962)
Mn (0.788, 0.750, 0.538)
Mn (0.856, 0.106, 0.212)
Mn (0.875, 0.625, 0.250)
Mn (0.894, 0.606, 0.750)
Ge (0.125, 0.875, 0.250)
Ge (0.375, 0.625, 0.750)
Ge (0.625, 0.375, 0.250)
Ge (0.875, 0.125, 0.750)
O (0.012, 0.299, 0.955)
O (0.014, 0.299, 0.428)
O (0.056, 0.012, 0.212)
O (0.085, 0.871, 0.572)
O (0.092, 0.594, 0.299)
O (0.094, 0.592, 0.799)
O (0.129, 0.201, 0.214)
O (0.156, 0.944, 0.455)
O (0.201, 0.486, 0.072)
O (0.201, 0.488, 0.545)
O (0.204, 0.206, 0.799)
O (0.206, 0.908, 0.002)
O (0.294, 0.296, 0.701)
O (0.296, 0.094, 0.002)
O (0.299, 0.371, 0.286)
O (0.299, 0.844, 0.288)
O (0.344, 0.799, 0.788)
O (0.371, 0.585, 0.072)
O (0.406, 0.204, 0.498)
O (0.408, 0.706, 0.502)
O (0.415, 0.986, 0.786)
O (0.444, 0.656, 0.955)
O (0.486, 0.915, 0.286)
O (0.488, 0.444, 0.288)
O (0.512, 0.556, 0.712)
O (0.514, 0.085, 0.714)
O (0.556, 0.344, 0.045)
O (0.585, 0.014, 0.214)
O (0.592, 0.294, 0.498)
O (0.594, 0.796, 0.502)
O (0.629, 0.415, 0.928)
O (0.656, 0.201, 0.212)
O (0.701, 0.156, 0.712)
O (0.701, 0.629, 0.714)
O (0.704, 0.906, 0.998)
O (0.706, 0.704, 0.299)
O (0.794, 0.092, 0.998)
O (0.796, 0.794, 0.201)
O (0.799, 0.512, 0.455)
O (0.799, 0.514, 0.928)
O (0.844, 0.056, 0.545)
O (0.871, 0.799, 0.786)
O (0.906, 0.408, 0.201)
O (0.908, 0.406, 0.701)
O (0.915, 0.129, 0.428)
O (0.944, 0.988, 0.788)
O (0.986, 0.701, 0.572)
O (0.988, 0.701, 0.045)



Density functional theory data (GGA+U) for a relaxed Li8Mn3VP6O24 crystal.

Output
excess energy over the best structure of this formula in the dataset: 0.004 eV per atom
ΔE_f: -2633.2 meV per atom

Unit cell a=8.395 b=8.505 c=9.269 alpha=91.54 beta=116.40 gamma=119.04
Element x y z (fractional)
Li (0.000, 0.000, 0.000)
Li (0.045, 0.275, 0.509)
Li (0.182, 0.795, 0.236)
Li (0.304, 0.719, 0.950)
Li (0.440, 0.395, 0.246)
Li (0.570, 0.332, 0.964)
Li (0.695, 0.859, 0.688)
Li (0.744, 0.124, 0.200)
Mn (0.061, 0.412, 0.133)
Mn (0.663, 0.211, 0.537)
Mn (0.686, 0.710, 0.068)
V (0.081, 0.912, 0.659)
P (0.158, 0.105, 0.351)
P (0.177, 0.307, 0.858)
P (0.576, 0.009, 0.846)
P (0.577, 0.808, 0.342)
P (0.873, 0.615, 0.853)
P (0.881, 0.520, 0.350)
O (0.015, 0.911, 0.202)
O (0.045, 0.574, 0.296)
O (0.053, 0.219, 0.300)
O (0.077, 0.635, 0.999)
O (0.125, 0.260, 0.000)
O (0.173, 0.072, 0.517)
O (0.257, 0.181, 0.834)
O (0.349, 0.904, 0.821)
O (0.357, 0.521, 0.918)
O (0.375, 0.209, 0.363)
O (0.408, 0.597, 0.290)
O (0.494, 0.931, 0.353)
O (0.574, 0.030, 0.682)
O (0.630, 0.850, 0.195)
O (0.676, 0.499, 0.202)
O (0.679, 0.893, 0.907)
O (0.712, 0.200, 0.990)
O (0.714, 0.573, 0.916)
O (0.756, 0.456, 0.694)
O (0.780, 0.869, 0.514)
O (0.811, 0.323, 0.379)
O (0.945, 0.812, 0.819)
O (0.975, 0.671, 0.512)
O (0.986, 0.263, 0.690)



Density functional theory data (GGA+U) for a relaxed Ca5Si6W5O17 crystal.

Output
excess energy over the best structure of this formula in the dataset: 0.000 eV per atom
ΔE_f: -1986.0 meV per atom

Unit cell a=6.849 b=7.045 c=11.986 alpha=78.91 beta=88.68 gamma=65.52
Element x y z (fractional)
Ca (0.000, 0.000, 0.000)
Ca (0.026, 0.451, 0.159)
Ca (0.477, 0.498, 0.957)
Ca (0.508, 0.951, 0.129)
Ca (0.840, 0.319, 0.446)
Si (0.222, 0.513, 0.418)
Si (0.276, 0.411, 0.703)
Si (0.512, 0.992, 0.876)
Si (0.566, 0.372, 0.239)
Si (0.937, 0.571, 0.886)
Si (0.993, 0.947, 0.251)
W (0.249, 0.944, 0.576)
W (0.557, 0.810, 0.397)
W (0.659, 0.560, 0.650)
W (0.778, 0.916, 0.573)
W (0.926, 0.106, 0.738)
O (0.044, 0.508, 0.763)
O (0.085, 0.413, 0.362)
O (0.090, 0.626, 0.964)
O (0.125, 0.775, 0.368)
O (0.142, 0.047, 0.175)
O (0.245, 0.459, 0.561)
O (0.365, 0.895, 0.955)
O (0.381, 0.151, 0.754)
O (0.419, 0.325, 0.155)
O (0.425, 0.507, 0.755)
O (0.468, 0.420, 0.367)
O (0.608, 0.112, 0.949)
O (0.641, 0.557, 0.181)
O (0.711, 0.786, 0.837)
O (0.796, 0.156, 0.292)
O (0.869, 0.389, 0.958)
O (0.894, 0.841, 0.171)



Density functional theory data (GGA+U) for a relaxed NaMgMnO2 crystal.

Output
excess energy over the best structure of this formula in the dataset: 0.654 eV per atom
ΔE_f: -1183.1 meV per atom

Unit cell a=4.062 b=4.062 c=5.856 alpha=93.33 beta=93.33 gamma=83.56
Element x y z (fractional)
Na (0.000, 0.000, 0.000)
Mg (0.500, 0.500, 0.000)
Mn (0.500, 0.500, 0.500)
O (0.303, 0.303, 0.228)
O (0.697, 0.697, 0.772)



Density functional theory data (GGA+U) for a relaxed Co3WO8 crystal.

Output
ΔE_f: -1416.0 meV per atom

Unit cell a=5.787 b=5.787 c=9.182 alpha=90.00 beta=90.00 gamma=120.00
Element x y z (fractional)
Co (0.167, 0.335, 0.000)
Co (0.167, 0.833, 0.000)
Co (0.335, 0.167, 0.500)
Co (0.665, 0.833, 0.000)
Co (0.833, 0.167, 0.500)
Co (0.833, 0.665, 0.500)
W (0.333, 0.667, 0.280)
W (0.667, 0.333, 0.780)
O (0.000, 0.000, 0.096)
O (0.000, 0.000, 0.596)
O (0.041, 0.520, 0.127)
O (0.170, 0.340, 0.383)
O (0.170, 0.830, 0.383)
O (0.333, 0.667, 0.900)
O (0.340, 0.170, 0.883)
O (0.480, 0.520, 0.127)
O (0.480, 0.959, 0.127)
O (0.520, 0.041, 0.627)
O (0.520, 0.480, 0.627)
O (0.660, 0.830, 0.383)
O (0.667, 0.333, 0.400)
O (0.830, 0.170, 0.883)
O (0.830, 0.660, 0.883)
O (0.959, 0.480, 0.627)



Density functional theory data (GGA+U) for a relaxed Na4MgCo2O6 crystal.

Output
excess energy over the best structure of this formula in the dataset: 0.088 eV per atom
ΔE_f: -1615.0 meV per atom

Unit cell a=5.860 b=5.867 c=6.595 alpha=72.36 beta=79.35 gamma=61.64
Element x y z (fractional)
Na (0.000, 0.000, 0.000)
Na (0.046, 0.718, 0.441)
Na (0.359, 0.479, 0.820)
Na (0.616, 0.872, 0.775)
Mg (0.999, 0.208, 0.519)
Co (0.538, 0.263, 0.300)
Co (0.556, 0.748, 0.271)
O (0.014, 0.883, 0.714)
O (0.315, 0.254, 0.530)
O (0.381, 0.647, 0.141)
O (0.539, 0.063, 0.103)
O (0.705, 0.588, 0.522)
O (0.872, 0.197, 0.267)



Density functional theory data (GGA+U) for a relaxed CaFe3P3O13 crystal.

Output
ΔE_f: -2501.8 meV per atom

Unit cell a=7.676 b=6.409 c=10.292 alpha=90.00 beta=99.87 gamma=90.00
Element x y z (fractional)
Ca (0.155, 0.250, 0.195)
Ca (0.845, 0.750, 0.805)
Fe (0.146, 0.250, 0.797)
Fe (0.287, 0.750, 0.438)
Fe (0.500, 0.000, 0.000)
Fe (0.500, 0.500, 0.000)
Fe (0.713, 0.250, 0.562)
Fe (0.854, 0.750, 0.203)
P (0.184, 0.750, 0.114)
P (0.237, 0.750, 0.761)
P (0.283, 0.250, 0.510)
P (0.717, 0.750, 0.490)
P (0.763, 0.250, 0.239)
P (0.816, 0.250, 0.886)
O (0.005, 0.250, 0.967)
O (0.121, 0.562, 0.786)
O (0.121, 0.938, 0.786)
O (0.140, 0.750, 0.257)
O (0.153, 0.250, 0.608)
O (0.250, 0.060, 0.414)
O (0.250, 0.440, 0.414)
O (0.289, 0.549, 0.096)
O (0.289, 0.951, 0.096)
O (0.290, 0.750, 0.625)
O (0.377, 0.250, 0.908)
O (0.412, 0.750, 0.868)
O (0.474, 0.250, 0.588)
O (0.526, 0.750, 0.412)
O (0.588, 0.250, 0.132)
O (0.623, 0.750, 0.092)
O (0.710, 0.250, 0.375)
O (0.711, 0.049, 0.904)
O (0.711, 0.451, 0.904)
O (0.750, 0.560, 0.586)
O (0.750, 0.940, 0.586)
O (0.847, 0.750, 0.392)
O (0.860, 0.250, 0.743)
O (0.879, 0.062, 0.214)
O (0.879, 0.438, 0.214)
O (0.995, 0.750, 0.033)